# CrN2

A relaxed structure of CrN2 (GGA-PBE, the Materials Project database).

Results
formation energy from the elements	-1.3	kJ per mole of atoms

Lattice parameters (Å, degrees): 4.155 4.155 4.693 90.00 90.00 120.00
Element x y z (fractional)
Cr 0.000 0.378 0.333
Cr 0.378 0.000 0.667
Cr 0.622 0.622 0.000
N 0.156 0.347 0.754
N 0.191 0.844 0.087
N 0.347 0.156 0.246
N 0.653 0.809 0.421
N 0.809 0.653 0.579
N 0.844 0.191 0.913